[1]
{
  "formula": "BiI",
  "functional": "PBE-GGA",
  "state": "relaxed",
  "sg": "C2/m, No. 12",
  "energy_corrected_mp2020_ev_per_atom": -3.1900,
  "mass_density_kg_m3": 5909,
  "e_tot_ev_per_atom": -3.001,
  "formation_enthalpy_0k_ev_per_atom": -0.483,
  "cell": [[-7.327, -3.794, -0.633], [-5.179, -5.916, 2.580], [-10.205, 12.039, 14.774]],
  "species": ["I", "I", "I", "I", "I", "I", "I", "I", "Bi", "Bi", "Bi", "Bi", "Bi", "Bi", "Bi", "Bi"],
  "frac_coords": [[0.623, 0.623, 0.362], [0.625, 0.625, 0.931], [0.624, 0.624, 0.145], [0.876, 0.876, 0.430], [0.377, 0.377, 0.638], [0.376, 0.376, 0.855], [0.375, 0.375, 0.069], [0.124, 0.124, 0.570], [0.306, 0.306, 0.246], [0.254, 0.254, 0.388], [0.062, 0.062, 0.746], [0.996, 0.996, 0.113], [0.746, 0.746, 0.612], [0.004, 0.004, 0.887], [0.694, 0.694, 0.754], [0.938, 0.938, 0.254]]
}

=====

[2]
{
  "formula": "BiI3",
  "functional": "PBE-GGA",
  "state": "relaxed",
  "sg": "Fm-3m, No. 225",
  "magmom_total_mub_per_fu": 0.0,
  "energy_corrected_mp2020_ev_per_atom": -2.2825,
  "mass_density_kg_m3": 7283,
  "e_tot_ev_per_atom": -1.998,
  "formation_enthalpy_0k_ev_per_atom": -0.167,
  "cell": [[0.000, 4.066, 4.066], [4.066, 0.000, 4.066], [4.066, 4.066, 0.000]],
  "species": ["I", "I", "I", "Bi"],
  "frac_coords": [[0.750, 0.750, 0.750], [0.250, 0.250, 0.250], [0.500, 0.500, 0.500], [0.000, 0.000, 0.000]]
}

=====

[3]
{
  "formula": "Bi7I2",
  "functional": "PBE-GGA",
  "state": "relaxed",
  "sg": "P2_1/m, No. 11",
  "energy_corrected_mp2020_ev_per_atom": -3.5492,
  "mass_density_kg_m3": 8263,
  "e_tot_ev_per_atom": -3.465,
  "formation_enthalpy_0k_ev_per_atom": -0.185,
  "cell": [[4.479, 0.000, 0.000], [0.000, 11.355, 0.000], [0.000, 0.794, 13.566]],
  "species": ["Bi", "Bi", "Bi", "Bi", "Bi", "Bi", "Bi", "Bi", "Bi", "Bi", "Bi", "Bi", "Bi", "Bi", "I", "I", "I", "I"],
  "frac_coords": [[0.250, 0.410, 0.148], [0.750, 0.590, 0.852], [0.250, 0.699, 0.580], [0.250, 0.125, 0.477], [0.750, 0.230, 0.205], [0.250, 0.197, 0.693], [0.750, 0.087, 0.973], [0.250, 0.913, 0.027], [0.250, 0.770, 0.795], [0.750, 0.022, 0.754], [0.750, 0.301, 0.420], [0.750, 0.875, 0.523], [0.750, 0.803, 0.307], [0.250, 0.978, 0.246], [0.750, 0.456, 0.651], [0.750, 0.654, 0.071], [0.250, 0.346, 0.929], [0.250, 0.544, 0.349]]
}